Version P
# Sr2VMoO6

An optimized crystal structure of Sr2VMoO6 (PBE with a Hubbard U, Materials Project).

a b c (Å): 6.924 6.924 6.924
angles (deg): 109.64 109.52 109.26
Fractional positions:
Sr 0.000 0.000 0.500
Sr 0.000 0.500 0.000
Sr 0.500 0.000 0.000
Sr 0.500 0.500 0.500
V 0.000 0.000 0.000
V 0.500 0.500 0.000
Mo 0.000 0.500 0.500
Mo 0.500 0.000 0.500
O 0.000 0.249 0.249
O 0.000 0.751 0.751
O 0.238 0.000 0.238
O 0.241 0.741 0.500
O 0.250 0.250 0.000
O 0.251 0.500 0.751
O 0.500 0.263 0.763
O 0.500 0.737 0.237
O 0.749 0.500 0.249
O 0.750 0.750 0.000
O 0.759 0.259 0.500
O 0.762 0.000 0.762

Output
Space group: No. 71
Calculated density, g cm⁻³: 5.43
Total moment, Bohr magnetons per cell: 0.00



Version Q
# Sr2VMoO6

An optimized crystal structure of Sr2VMoO6 (PBE with a Hubbard U, Materials Project).

a b c (Å): 4.033 7.914 8.051
angles (deg): 90.00 90.11 90.00
Fractional positions:
Sr 0.000 0.246 0.247
Sr 0.000 0.246 0.753
Sr 0.000 0.754 0.247
Sr 0.000 0.754 0.753
V 0.500 0.000 0.000
V 0.500 0.500 0.500
Mo 0.500 0.000 0.500
Mo 0.500 0.500 0.000
O 0.000 0.000 0.000
O 0.000 0.000 0.500
O 0.000 0.500 0.000
O 0.000 0.500 0.500
O 0.497 0.500 0.751
O 0.500 0.000 0.249
O 0.500 0.000 0.751
O 0.500 0.236 0.000
O 0.500 0.247 0.500
O 0.500 0.753 0.500
O 0.500 0.764 0.000
O 0.503 0.500 0.249

Output
Space group: No. 10
Calculated density, g cm⁻³: 5.40
Total moment, Bohr magnetons per cell: 0.78



Among the structures shown above, version P is the most stable, with the second-best lying 1.8 kJ/mol of atoms higher.